DFT (r²SCAN) results for crystalline BaNi2P2 at its relaxed geometry.

POSCAR file:
```
BaNi2P2
1.0
-2.8538 -2.4001 -1.1744
1.4495 -2.8341 2.2696
-2.7665 4.5043 4.0243
Ba Ni P
1 2 2
direct
0.0000 0.0000 0.0000
0.2500 0.7500 0.5000
0.7500 0.2500 0.5000
0.6608 0.6608 0.3215
0.3392 0.3392 0.6785
```

Calculated density ... 5.7 Mg/m³
DFT formation energy ... -80.4 kJ/mol of atoms
Electronic total energy ... -14.527 eV per atom

---

DFT (r²SCAN) results for crystalline NdAu at its relaxed geometry.

POSCAR file:
```
NdAu
1.0
-1.7556 -3.3642 -2.9794
3.1876 -4.0017 2.6402
-5.6174 -1.3128 4.7924
Nd Au
4 4
direct
0.2500 0.3545 0.6869
0.2500 0.1455 0.1869
0.7500 0.6455 0.3131
0.7500 0.8545 0.8131
0.2500 0.8499 0.5393
0.2500 0.6501 0.0393
0.7500 0.1501 0.4607
0.7500 0.3499 0.9607
```

Calculated density ... 10.9 Mg/m³
DFT formation energy ... -87.5 kJ/mol of atoms
Electronic total energy ... -40.908 eV per atom

---

What did the first record say?
DFT (r²SCAN) results for crystalline BaNi2P2 at its relaxed geometry.

POSCAR file:
```
BaNi2P2
1.0
-2.8538 -2.4001 -1.1744
1.4495 -2.8341 2.2696
-2.7665 4.5043 4.0243
Ba Ni P
1 2 2
direct
0.0000 0.0000 0.0000
0.2500 0.7500 0.5000
0.7500 0.2500 0.5000
0.6608 0.6608 0.3215
0.3392 0.3392 0.6785
```

Calculated density ... 5.7 Mg/m³
DFT formation energy ... -80.4 kJ/mol of atoms
Electronic total energy ... -14.527 eV per atom